(1)
VASP calculation (r²SCAN) on a relaxed SmSiPt3 crystal.

a = 4.0651 Å, b = 4.0651 Å, c = 5.4611 Å
α = 90.00°, β = 90.00°, γ = 90.00°
Last column: nearest neighbours and their distance in Å.
Fractional positions:
1 Sm 0.5000 0.5000 0.7014  4 Pt 2.99, 4 Si 3.22
2 Si 0.0000 0.0000 0.9660  5 Pt 2.28-2.39
3 Pt 0.5000 0.0000 0.1957  2 Si 2.39
4 Pt 0.0000 0.0000 0.5494  1 Si 2.28
5 Pt 0.0000 0.5000 0.1957  2 Si 2.39

Space-group type = P4mm

(2)
VASP calculation (r²SCAN) on a relaxed Sm2Si3Pt crystal.

a = 7.6923 Å, b = 7.6923 Å, c = 7.6923 Å
α = 149.35°, β = 148.34°, γ = 44.64°
Last column: nearest neighbours and their distance in Å.
Fractional positions:
1 Si 0.7054 0.7054 0.0000  3 Si 2.35-2.40
2 Si 0.7944 0.2944 0.5000  1 Pt 2.35, 2 Si 2.40
3 Si 0.5403 0.5403 0.0000  1 Si 2.35, 2 Pt 2.39
4 Sm 0.3725 0.8725 0.5000  8 Si 3.13-3.17, 4 Pt 3.17
5 Sm 0.1280 0.1280 0.0000  10 Si 3.12-3.18, 2 Pt 3.15
6 Pt 0.9594 0.4594 0.5000  3 Si 2.35-2.39

Space-group type = Imm2

(3)
VASP calculation (r²SCAN) on a relaxed TaSiPt crystal.

a = 3.8042 Å, b = 6.4383 Å, c = 7.3983 Å
α = 90.00°, β = 90.00°, γ = 90.00°
Last column: nearest neighbours and their distance in Å.
Fractional positions:
1 Pt 0.7500 0.8474 0.0690  4 Si 2.38-2.50
2 Pt 0.2500 0.6526 0.5690  4 Si 2.38-2.50
3 Pt 0.2500 0.1526 0.9310  4 Si 2.38-2.50
4 Pt 0.7500 0.3474 0.4310  4 Si 2.38-2.50
5 Ta 0.2500 0.5255 0.1618  5 Si 2.65-2.79, 3 Pt 2.90-2.95
6 Ta 0.2500 0.0255 0.3382  5 Si 2.65-2.79, 3 Pt 2.90-2.95
7 Ta 0.7500 0.4745 0.8382  5 Si 2.65-2.79, 3 Pt 2.90-2.95
8 Ta 0.7500 0.9745 0.6618  5 Si 2.65-2.79, 3 Pt 2.90-2.95
9 Si 0.7500 0.7295 0.3741  4 Pt 2.38-2.50, 1 Ta 2.65
10 Si 0.2500 0.7705 0.8741  4 Pt 2.38-2.50, 1 Ta 2.65
11 Si 0.2500 0.2705 0.6259  4 Pt 2.38-2.50, 1 Ta 2.65
12 Si 0.7500 0.2295 0.1259  4 Pt 2.38-2.50, 1 Ta 2.65

Space-group type = Pnma

(4)
VASP calculation (r²SCAN) on a relaxed TbSiPt2 crystal.

a = 5.5330 Å, b = 6.9162 Å, c = 7.3209 Å
α = 90.00°, β = 90.00°, γ = 90.00°
Last column: nearest neighbours and their distance in Å.
Fractional positions:
1 Si 0.8628 0.7500 0.8778  6 Pt 2.47-2.62
2 Si 0.6372 0.7500 0.3778  6 Pt 2.47-2.62
3 Si 0.3628 0.2500 0.6222  6 Pt 2.47-2.62
4 Si 0.1372 0.2500 0.1222  6 Pt 2.47-2.62
5 Pt 0.4090 0.4489 0.3198  3 Si 2.47-2.62, 1 Pt 2.75
6 Pt 0.5910 0.5511 0.6802  3 Si 2.47-2.62, 1 Pt 2.75
7 Pt 0.0910 0.0511 0.8198  3 Si 2.47-2.62, 1 Pt 2.75
8 Pt 0.4090 0.0511 0.3198  3 Si 2.47-2.62, 1 Pt 2.75
9 Pt 0.0910 0.4489 0.8198  3 Si 2.47-2.62, 1 Pt 2.75
10 Pt 0.9090 0.5511 0.1802  3 Si 2.47-2.62, 1 Pt 2.75
11 Pt 0.5910 0.9489 0.6802  3 Si 2.47-2.62, 1 Pt 2.75
12 Pt 0.9090 0.9489 0.1802  3 Si 2.47-2.62, 1 Pt 2.75
13 Tb 0.8621 0.2500 0.4736  3 Si 2.97-2.99, 8 Pt 2.98-3.15
14 Tb 0.3621 0.7500 0.0264  3 Si 2.97-2.99, 8 Pt 2.98-3.15
15 Tb 0.1379 0.7500 0.5264  3 Si 2.97-2.99, 8 Pt 2.98-3.15
16 Tb 0.6379 0.2500 0.9736  3 Si 2.97-2.99, 8 Pt 2.98-3.15

Space-group type = Pnma

Sequential total magnetic moment output: 0.00, 0.00, 0.00, 0.00 μB/atom
Sequential total energy output: -198.86, -143.52, -111.11, -148.03 eV/f.u.